AgH4WS4N, optimized geometry, DFT GGA-PBE; space-group type = I-4, No. 82; energy = -5.31 eV per atom; piezoelectric modulus e_max = 0.10 C/m2; formation enthalpy at 0 K = -635.7 kJ/mol of formula units; energy with MP2020 corrections = -5.530 eV/atom; calculated volume = 197 Å³ per cell
1.0
-4.0762 4.0762 2.9600
4.0762 -4.0762 2.9600
4.0762 4.0762 -2.9600
Ag H W S N
1 4 1 4 1
direct
0.0000 0.0000 0.0000 Ag
0.0472 0.6667 0.4132 H
0.2535 0.6340 0.5868 H
0.3333 0.7465 0.3805 H
0.3660 0.9528 0.6195 H
0.5000 0.5000 0.0000 W
0.0993 0.4153 0.9232 S
0.4921 0.1761 0.0768 S
0.5847 0.5079 0.6840 S
0.8239 0.9007 0.3160 S
0.2500 0.7500 0.5000 N



Sn3Te, optimized geometry, DFT GGA-PBE; energy above the lowest structure with this stoichiometry = 0.000 eV per atom; space-group type = I4/mmm, No. 139; energy = -3.73 eV per atom; formation enthalpy at 0 K = -16.0 kJ/mol of formula units; energy with MP2020 corrections = -3.834 eV/atom; calculated volume = 117 Å³ per cell
1.0
-2.3009 2.3009 5.5165
2.3009 -2.3009 5.5165
2.3009 2.3009 -5.5165
Sn Te
3 1
direct
0.0000 0.0000 0.0000 Sn
0.2500 0.7500 0.5000 Sn
0.7500 0.2500 0.5000 Sn
0.5000 0.5000 0.0000 Te



FeSbRh2, optimized geometry, DFT GGA-PBE; space-group type = I4/mmm, No. 139; energy = -7.05 eV per atom; formation enthalpy at 0 K = -85.0 kJ/mol of formula units; calculated volume = 61 Å³ per cell
1.0
-2.0329 2.0329 3.7030
2.0329 -2.0329 3.7030
2.0329 2.0329 -3.7030
Fe Sb Rh
1 1 2
direct
0.0000 0.0000 0.0000 Fe
0.5000 0.5000 0.0000 Sb
0.2500 0.7500 0.5000 Rh
0.7500 0.2500 0.5000 Rh



CaMg14Ga, optimized geometry, DFT GGA-PBE; energy above the lowest structure with this stoichiometry = 0.015 eV per atom; space-group type = P-6m2, No. 187; energy = -1.72 eV per atom; formation enthalpy at 0 K = -14.6 kJ/mol of formula units; calculated volume = 374 Å³ per cell
1.0
6.4212 0.0000 0.0000
-3.2106 5.5609 0.0000
0.0000 0.0000 10.4765
Ca Mg Ga
1 14 1
direct
0.0000 0.0000 0.0000 Ca
0.0061 0.5030 0.0000 Mg
0.1667 0.3334 0.2571 Mg
0.1667 0.3334 0.7429 Mg
0.1667 0.8333 0.2571 Mg
0.1667 0.8333 0.7429 Mg
0.4970 0.5030 0.0000 Mg
0.4970 0.9939 0.0000 Mg
0.5012 0.0024 0.5000 Mg
0.5012 0.4988 0.5000 Mg
0.6667 0.3333 0.2461 Mg
0.6667 0.3333 0.7539 Mg
0.6666 0.8333 0.2571 Mg
0.6666 0.8333 0.7429 Mg
0.9976 0.4988 0.5000 Mg
0.0000 0.0000 0.5000 Ga



LaTl3, optimized geometry, DFT GGA-PBE; space-group type = Pm-3m, No. 221; energy = -3.37 eV per atom; formation enthalpy at 0 K = -140.8 kJ/mol of formula units; calculated volume = 118 Å³ per cell
1.0
4.9077 0.0000 0.0000
0.0000 4.9077 0.0000
0.0000 0.0000 4.9077
La Tl
1 3
direct
0.0000 0.0000 0.0000 La
0.0000 0.5000 0.5000 Tl
0.5000 0.0000 0.5000 Tl
0.5000 0.5000 0.0000 Tl



Th2Fe5Co5, optimized geometry, DFT GGA-PBE; space-group type = Pmm2, No. 25; energy = -7.83 eV per atom; formation enthalpy at 0 K = -121.8 kJ/mol of formula units; calculated volume = 173 Å³ per cell
1.0
3.9838 0.0000 0.0000
0.0000 8.6600 0.0000
0.0000 0.0000 5.0283
Th Fe Co
2 5 5
direct
0.0000 0.0000 0.0000 Th
0.0000 0.5000 0.4960 Th
0.5000 0.0000 0.4969 Fe
0.5000 0.2531 0.2461 Fe
0.5000 0.2545 0.7481 Fe
0.5000 0.7455 0.7481 Fe
0.5000 0.7469 0.2461 Fe
0.0000 0.1640 0.5098 Co
0.0000 0.3279 0.0066 Co
0.0000 0.6721 0.0066 Co
0.0000 0.8360 0.5098 Co
0.5000 0.5000 0.9891 Co



NaZrGeP3O12, optimized geometry, DFT GGA-PBE; space-group type = P3, No. 143; energy = -7.35 eV per atom; formation enthalpy at 0 K = -4862.7 kJ/mol of formula units; energy with MP2020 corrections = -7.806 eV/atom; calculated volume = 1450 Å³ per cell
1.0
8.6329 0.0000 0.0000
-4.3164 7.4763 0.0000
0.0000 0.0000 22.4607
Na Zr Ge P O
6 6 6 18 72
direct
0.0000 0.0000 0.0000 Na
0.0000 0.0000 0.4930 Na
0.3333 0.6667 0.1588 Na
0.3333 0.6667 0.6606 Na
0.6667 0.3333 0.3256 Na
0.6667 0.3333 0.8319 Na
0.0000 0.0000 0.6403 Zr
0.0000 0.0000 0.8555 Zr
0.3333 0.6667 0.3025 Zr
0.3333 0.6667 0.8135 Zr
0.6667 0.3333 0.4721 Zr
0.6667 0.3333 0.6793 Zr
0.0000 0.0000 0.1410 Ge
0.0000 0.0000 0.3468 Ge
0.3333 0.6667 0.0187 Ge
0.3333 0.6667 0.5113 Ge
0.6667 0.3333 0.1803 Ge
0.6667 0.3333 0.9814 Ge
0.0372 0.6538 0.9211 P
0.0528 0.3707 0.4109 P
0.2856 0.2711 0.2420 P
0.2936 0.0005 0.7470 P
0.3179 0.9472 0.4109 P
0.3462 0.3833 0.9211 P
0.3729 0.3475 0.5753 P
0.3798 0.0461 0.0804 P
0.6167 0.9628 0.9211 P
0.6293 0.6821 0.4109 P
0.6525 0.0254 0.5753 P
0.6663 0.6202 0.0804 P
0.7069 0.7064 0.7470 P
0.7289 0.0145 0.2420 P
0.9539 0.3337 0.0804 P
0.9746 0.6271 0.5753 P
0.9855 0.7144 0.2420 P
0.9995 0.2931 0.7470 P
0.0178 0.8204 0.9149 O
0.0226 0.2072 0.6907 O
0.0231 0.8313 0.1862 O
0.0383 0.1854 0.4039 O
0.1144 0.6241 0.8633 O
0.1338 0.4853 0.3556 O
0.1434 0.5022 0.0733 O
0.1472 0.9617 0.4039 O
0.1512 0.6928 0.2474 O
0.1568 0.6391 0.5677 O
0.1628 0.6906 0.9748 O
0.1657 0.4773 0.7515 O
0.1680 0.4581 0.4677 O
0.1687 0.1917 0.1862 O
0.1796 0.1974 0.9149 O
0.1846 0.9774 0.6907 O
0.1867 0.1831 0.5808 O
0.1898 0.0256 0.0869 O
0.2048 0.0225 0.8030 O
0.2053 0.1604 0.2999 O
0.2901 0.8320 0.4677 O
0.3072 0.4584 0.2474 O
0.3094 0.4722 0.9748 O
0.3116 0.8343 0.7515 O
0.3515 0.8662 0.3556 O
0.3589 0.8566 0.0733 O
0.3609 0.5177 0.5677 O
0.3759 0.4904 0.8633 O
0.4604 0.3140 0.5217 O
0.4611 0.1655 0.0249 O
0.4742 0.2901 0.2357 O
0.4779 0.1679 0.7423 O
0.4819 0.1342 0.4163 O
0.4823 0.8432 0.5677 O
0.4840 0.3741 0.6320 O
0.4978 0.6411 0.0733 O
0.4996 0.1278 0.1358 O
0.5096 0.8856 0.8633 O
0.5154 0.3665 0.9277 O
0.5147 0.6485 0.3556 O
0.5227 0.6884 0.7515 O
0.5278 0.8372 0.9748 O
0.5419 0.7099 0.4677 O
0.5416 0.8488 0.2474 O
0.6259 0.1098 0.6320 O
0.6282 0.5004 0.1358 O
0.6335 0.1489 0.9277 O
0.6523 0.5181 0.4163 O
0.6860 0.1464 0.5217 O
0.6900 0.5221 0.7423 O
0.7044 0.5389 0.0249 O
0.7099 0.1840 0.2357 O
0.7928 0.8154 0.6907 O
0.8026 0.9822 0.9149 O
0.8083 0.9769 0.1862 O
0.8146 0.8528 0.4039 O
0.8160 0.5258 0.2357 O
0.8169 0.0036 0.5808 O
0.8177 0.7952 0.8030 O
0.8321 0.3100 0.7423 O
0.8345 0.2956 0.0249 O
0.8358 0.8102 0.0869 O
0.8396 0.0450 0.2999 O
0.8511 0.4846 0.9277 O
0.8536 0.5396 0.5217 O
0.8658 0.3477 0.4163 O
0.8722 0.3718 0.1358 O
0.8902 0.5160 0.6320 O
0.9550 0.7947 0.2999 O
0.9744 0.1642 0.0869 O
0.9775 0.1823 0.8030 O
0.9964 0.8133 0.5808 O



Al2Te5, optimized geometry, DFT GGA-PBE; space-group type = C2/m, No. 12; energy = -3.64 eV per atom; formation enthalpy at 0 K = -423.0 kJ/mol of formula units; energy with MP2020 corrections = -3.942 eV/atom; calculated volume = 258 Å³ per cell
1.0
7.5105 -2.0967 0.0000
7.5105 2.0967 0.0000
-6.6610 0.0000 8.1857
Al Te
2 5
direct
0.1339 0.1339 0.4009 Al
0.8661 0.8661 0.5991 Al
0.0736 0.0736 0.8743 Te
0.3123 0.3123 0.3995 Te
0.5000 0.5000 0.0000 Te
0.6877 0.6877 0.6005 Te
0.9264 0.9264 0.1257 Te



IrS3Cl11, optimized geometry, DFT GGA-PBE; space-group type = P2_1/c, No. 14; energy = -3.07 eV per atom; formation enthalpy at 0 K = -1084.3 kJ/mol of formula units; energy with MP2020 corrections = -3.521 eV/atom; calculated volume = 1820 Å³ per cell
1.0
8.5438 0.0000 0.0000
0.0000 13.9068 0.0000
-4.4558 0.0000 15.3187
Ir S Cl
4 12 44
direct
0.1023 0.0918 0.3040 Ir
0.1023 0.4082 0.8040 Ir
0.8977 0.5918 0.1960 Ir
0.8977 0.9082 0.6960 Ir
0.0629 0.5225 0.1249 S
0.0629 0.9775 0.6249 S
0.1274 0.5416 0.7313 S
0.1274 0.9584 0.2313 S
0.3740 0.2385 0.9360 S
0.3740 0.2615 0.4360 S
0.6260 0.7385 0.5640 S
0.6260 0.7615 0.0640 S
0.8726 0.0416 0.7687 S
0.8726 0.4584 0.2687 S
0.9371 0.0225 0.3751 S
0.9371 0.4775 0.8751 S
0.0380 0.2323 0.3775 Cl
0.0380 0.2677 0.8775 Cl
0.0504 0.1248 0.6339 Cl
0.0504 0.3752 0.1339 Cl
0.1017 0.6378 0.3230 Cl
0.1017 0.8622 0.8230 Cl
0.1760 0.5084 0.6156 Cl
0.1760 0.9916 0.1156 Cl
0.3029 0.1838 0.2615 Cl
0.3029 0.3162 0.7615 Cl
0.3061 0.5457 0.1840 Cl
0.3061 0.9543 0.6840 Cl
0.3135 0.0612 0.4360 Cl
0.3135 0.4388 0.9360 Cl
0.3359 0.6164 0.7911 Cl
0.3359 0.8836 0.2911 Cl
0.3468 0.0964 0.8945 Cl
0.3468 0.4036 0.3945 Cl
0.3641 0.2188 0.0625 Cl
0.3641 0.2812 0.5625 Cl
0.3773 0.7489 0.0412 Cl
0.3773 0.7511 0.5412 Cl
0.6227 0.2489 0.4588 Cl
0.6227 0.2511 0.9588 Cl
0.6359 0.7188 0.4375 Cl
0.6359 0.7812 0.9375 Cl
0.6532 0.5964 0.6055 Cl
0.6532 0.9036 0.1055 Cl
0.6641 0.1164 0.7089 Cl
0.6641 0.3836 0.2089 Cl
0.6865 0.5612 0.0640 Cl
0.6865 0.9388 0.5640 Cl
0.6939 0.0457 0.3160 Cl
0.6939 0.4543 0.8160 Cl
0.6971 0.6838 0.2385 Cl
0.6971 0.8162 0.7385 Cl
0.8240 0.0084 0.8844 Cl
0.8240 0.4916 0.3844 Cl
0.8983 0.1378 0.1770 Cl
0.8983 0.3622 0.6770 Cl
0.9496 0.6248 0.8661 Cl
0.9496 0.8752 0.3661 Cl
0.9620 0.7323 0.1225 Cl
0.9620 0.7677 0.6225 Cl



BaYMg6, optimized geometry, DFT GGA-PBE; energy above the lowest structure with this stoichiometry = 0.000 eV per atom; energy = -2.16 eV per atom; formation enthalpy at 0 K = 71.6 kJ/mol of formula units; calculated volume = 461 Å³ per cell
1.0
5.4255 0.0000 0.0000
0.0000 7.3325 0.0000
0.0000 0.0000 11.5921
Mg Ba Y
12 2 2
direct
0.0000 0.2307 0.9201 Mg
0.0000 0.0000 0.6593 Mg
0.0000 0.5000 0.6466 Mg
0.0000 0.7693 0.9201 Mg
0.0000 0.2693 0.4201 Mg
0.5000 0.2497 0.0851 Mg
0.0000 0.5000 0.1593 Mg
0.0000 0.0000 0.1466 Mg
0.5000 0.7497 0.5851 Mg
0.0000 0.7307 0.4201 Mg
0.5000 0.7503 0.0851 Mg
0.5000 0.2503 0.5851 Mg
0.5000 0.0000 0.3411 Ba
0.5000 0.5000 0.8411 Ba
0.5000 0.5000 0.3426 Y
0.5000 0.0000 0.8426 Y



Rb3Pr, optimized geometry, DFT GGA-PBE; energy above the lowest structure with this stoichiometry = 0.028 eV per atom; space-group type = Fm-3m, No. 225; energy = -1.32 eV per atom; formation enthalpy at 0 K = 234.6 kJ/mol of formula units; calculated volume = 275 Å³ per cell
1.0
0.0000 5.1605 5.1605
5.1605 0.0000 5.1605
5.1605 5.1605 0.0000
Rb Pr
3 1
direct
0.0000 0.0000 0.0000 Rb
0.2500 0.2500 0.2500 Rb
0.7500 0.7500 0.7500 Rb
0.5000 0.5000 0.5000 Pr



K9FeS7, optimized geometry, DFT GGA-PBE; space-group type = P2_1/c, No. 14; energy = -3.66 eV per atom; formation enthalpy at 0 K = -1774.3 kJ/mol of formula units; energy with MP2020 corrections = -3.871 eV/atom; calculated volume = 2007 Å³ per cell
1.0
10.8013 0.0000 0.0000
0.0000 7.9575 0.0000
-5.3656 0.0000 23.3561
K Fe S
36 4 28
direct
0.0100 0.0950 0.2735 K
0.0100 0.4050 0.7735 K
0.1147 0.1403 0.4474 K
0.1147 0.3597 0.9474 K
0.1642 0.0347 0.0634 K
0.1642 0.4653 0.5634 K
0.2270 0.5496 0.0870 K
0.2270 0.9504 0.5870 K
0.2622 0.5603 0.7188 K
0.2622 0.9397 0.2188 K
0.2930 0.0641 0.7939 K
0.2930 0.4359 0.2939 K
0.3528 0.5789 0.4539 K
0.3528 0.9211 0.9539 K
0.4229 0.0562 0.4204 K
0.4229 0.4438 0.9204 K
0.4549 0.2411 0.6651 K
0.4549 0.2589 0.1651 K
0.5451 0.7411 0.8349 K
0.5451 0.7589 0.3349 K
0.5771 0.5562 0.0796 K
0.5771 0.9438 0.5796 K
0.6472 0.0789 0.0461 K
0.6472 0.4211 0.5461 K
0.7070 0.5641 0.7061 K
0.7070 0.9359 0.2061 K
0.7378 0.0603 0.7812 K
0.7378 0.4397 0.2812 K
0.7730 0.0496 0.4130 K
0.7730 0.4504 0.9130 K
0.8358 0.5347 0.4366 K
0.8358 0.9653 0.9366 K
0.8853 0.6403 0.0526 K
0.8853 0.8597 0.5526 K
0.9900 0.5950 0.2265 K
0.9900 0.9050 0.7265 K
0.0540 0.7007 0.3721 Fe
0.0540 0.7993 0.8721 Fe
0.9460 0.2007 0.1279 Fe
0.9460 0.2993 0.6279 Fe
0.0441 0.0856 0.8544 S
0.0441 0.4144 0.3544 S
0.0854 0.7425 0.9688 S
0.0854 0.7575 0.4688 S
0.1413 0.1972 0.6758 S
0.1413 0.3028 0.1758 S
0.2183 0.6910 0.8358 S
0.2183 0.8090 0.3358 S
0.3760 0.2318 0.5303 S
0.3760 0.2682 0.0303 S
0.4347 0.6467 0.6321 S
0.4347 0.8533 0.1321 S
0.4697 0.6620 0.1972 S
0.4697 0.8380 0.6972 S
0.5303 0.1620 0.3028 S
0.5303 0.3380 0.8028 S
0.5653 0.1467 0.8679 S
0.5653 0.3533 0.3679 S
0.6240 0.7318 0.9697 S
0.6240 0.7682 0.4697 S
0.7817 0.1910 0.6642 S
0.7817 0.3090 0.1642 S
0.8587 0.6972 0.8242 S
0.8587 0.8028 0.3242 S
0.9146 0.2425 0.5312 S
0.9146 0.2575 0.0312 S
0.9559 0.5856 0.6456 S
0.9559 0.9144 0.1456 S